Na2SrV3O9 after structural relaxation, computed with GGA+U.

Cell and atoms, written as POSCAR:
```
Na2SrV3O9
1.0
-0.033 8.602 12.547
-5.480 0.484 -0.346
-2.470 -8.214 5.626
O Sr V Na
36 4 12 8
Cartesian
-6.910 -4.708 3.490
-6.088 -0.991 8.773
-3.046 1.628 4.644
-4.950 -2.320 11.055
-4.277 -3.558 5.883
-2.220 7.001 11.984
-1.669 4.718 8.588
-5.921 1.721 12.048
-4.253 -4.979 3.657
-3.165 -2.824 8.330
-5.763 -6.129 5.843
-6.059 1.259 14.745
-4.689 6.378 10.039
-2.062 -0.849 5.778
-3.142 1.019 16.625
-3.731 5.851 14.169
-5.690 3.440 6.570
-4.538 0.735 7.051
-1.028 4.269 11.993
-2.293 -2.568 11.257
-6.314 -3.846 9.238
-2.911 2.482 14.130
-3.033 3.192 6.772
-5.072 -1.611 3.696
-3.295 -5.507 7.788
-2.259 -0.854 13.324
-1.924 -0.387 3.081
-1.895 1.863 9.053
-3.445 0.136 10.775
-4.841 -0.147 1.201
-3.706 4.430 11.943
-4.818 3.696 9.496
-1.073 5.580 14.337
-5.724 1.726 4.502
-6.955 -3.397 5.833
-4.937 -0.756 13.183
-5.402 3.610 13.854
-3.825 -4.504 10.200
-2.581 -2.738 3.972
-4.158 5.376 7.627
-5.657 -4.680 5.026
-1.680 3.132 7.946
-4.432 2.019 5.994
-5.055 -1.638 1.985
-2.326 5.552 12.800
-6.195 0.511 13.222
-2.929 2.510 15.842
-1.788 0.361 4.604
-3.551 -1.148 11.832
-6.303 -2.260 9.881
-3.022 -3.975 7.084
-4.961 4.847 10.743
-2.469 2.349 11.445
-1.419 0.509 0.876
-2.666 -0.443 8.290
-5.317 1.314 9.536
-6.564 0.362 16.951
-4.277 1.910 2.519
-5.514 -1.477 6.381
-3.706 -1.039 15.308
```

Values from the calculation:
As for the symmetry: No. 14. For the final energy, the calculation gives -414.5 eV per cell. The spin magnetization comes out at 0.067 μB/atom. For the formation energy, the calculation gives -2586 meV/atom.



Na2SrV4O12 after structural relaxation, computed with GGA+U.

Cell and atoms, written as POSCAR:
```
Na2SrV4O12
1.0
-2.883 -0.374 -10.361
4.107 -9.915 -0.785
-4.505 -1.971 1.325
O V Na Sr
24 8 4 2
Cartesian
-2.829 -9.819 -9.290
-0.680 -6.758 -9.420
0.385 -6.199 -3.274
-5.480 -2.465 -7.366
2.040 -8.458 -1.007
0.160 -7.586 -6.103
0.548 -4.125 -1.327
1.843 -9.181 -4.446
0.449 -10.022 -8.742
-0.171 -10.832 -1.758
-1.296 -5.025 -7.243
-1.361 -1.201 -1.775
-3.825 -4.724 -5.098
-2.533 -5.914 -2.473
-4.802 -5.788 -8.308
-2.951 -2.765 -9.511
-3.119 -7.383 -6.651
-4.441 -2.991 -2.921
-2.822 -3.478 0.166
-1.826 -8.573 -4.026
-1.990 -10.647 -5.973
-1.974 -1.702 -6.301
-1.071 -3.638 -4.414
-1.629 -7.850 -0.586
-0.815 -0.106 -2.928
-0.203 -5.251 -8.501
1.161 -2.802 -0.222
-0.549 -2.343 -5.351
1.427 -5.039 -2.645
-2.068 -0.268 -7.433
1.773 -7.947 -5.794
2.946 -7.113 -0.563
-1.947 -3.558 -2.124
-3.388 -3.745 -7.304
-1.335 -8.703 -7.697
0.107 -8.515 -2.516
-2.253 -0.985 0.662
-1.641 -6.130 -4.910
```

Values from the calculation:
As for the symmetry: No. 125. For the final energy, the calculation gives -266.4 eV per cell. The spin magnetization comes out at 0.000 μB/atom. For the formation energy, the calculation gives -2538 meV/atom.



NaSrYWO6 after structural relaxation, computed with GGA+U.

Cell and atoms, written as POSCAR:
```
NaSrYWO6
1.0
2.707 4.848 1.995
3.845 2.860 -3.442
-1.395 5.284 -2.223
W O Sr Na Y
1 6 1 1 1
Cartesian
0.000 0.000 0.000
0.460 5.850 -2.042
4.698 7.143 -1.628
2.510 7.375 -3.878
2.647 5.617 0.208
1.903 8.435 -0.978
3.254 4.557 -2.692
1.289 3.248 -0.918
3.868 9.744 -2.753
2.579 6.496 -1.835
```

Values from the calculation:
As for the symmetry: No. 216. For the final energy, the calculation gives -72.6 eV per cell. The spin magnetization comes out at 0.000 μB/atom. For the formation energy, the calculation gives -2900 meV/atom.



Na8Ta7VO24 after structural relaxation, computed with GGA+U.

Cell and atoms, written as POSCAR:
```
Na8Ta7VO24
1.0
7.919 0.000 0.000
0.000 7.919 0.000
0.000 0.000 7.919
O Na Ta V
24 8 7 1
Cartesian
0.000 1.975 3.959
1.979 3.959 3.959
3.959 3.959 5.939
0.000 0.000 5.987
5.943 3.959 0.000
3.959 5.939 3.959
0.000 5.987 0.000
0.000 3.959 1.975
1.975 3.959 0.000
0.000 5.943 3.959
0.000 1.932 0.000
5.987 0.000 0.000
3.959 1.979 3.959
1.932 0.000 0.000
3.959 0.000 1.975
1.975 0.000 3.959
3.959 1.975 0.000
3.959 5.943 0.000
0.000 0.000 1.932
5.943 0.000 3.959
3.959 3.959 1.979
5.939 3.959 3.959
0.000 3.959 5.943
3.959 0.000 5.943
1.968 1.968 5.951
5.951 1.968 1.968
1.968 5.951 1.968
1.968 1.968 1.968
5.951 1.968 5.951
1.968 5.951 5.951
5.951 5.951 1.968
5.951 5.951 5.951
3.959 3.959 0.000
3.959 3.959 3.959
0.000 0.000 3.959
0.000 3.959 0.000
0.000 3.959 3.959
3.959 0.000 0.000
3.959 0.000 3.959
0.000 0.000 0.000
```

Values from the calculation:
As for the symmetry: No. 221. For the final energy, the calculation gives -320.9 eV per cell. The spin magnetization comes out at 0.000 μB/atom. For the formation energy, the calculation gives -2942 meV/atom.



no.,ρ (g/cm3)
1,3.4
2,3.0
3,5.5
4,6.3